DFT (r2SCAN) results for an optimized crystal structure of NiS2.

```
NiS2
1.0
6.219 -1.657 -0.119
6.219 1.657 -0.119
5.832 0.000 2.724
S Ni
2 1
Cartesian
7.259 0.000 0.988 S
11.010 0.000 1.498 S
0.000 0.000 0.000 Ni
```

## Properties
Mass density   3.49 g cm⁻³
Formation enthalpy at 0 K   -0.30 eV/atom
Total magnetic moment   0.000 μB per formula unit
Symmetry   R-3m